[1]
Material: Mg6CoBiO8
Method: DFT, PBE with a Hubbard U
State: relaxed

a = 4.4729 Å, b = 4.4729 Å, c = 8.9501 Å
α = 90.00°, β = 90.00°, γ = 90.00°
Last column: nearest neighbours and their distance in Å.
Space group P4/mmm (No. 123)
Unique sites:
Mg: 0.0000 0.0000 0.0000 [1 per cell]  6 O 2.24
Mg: 0.0000 0.0000 0.5000 [1 per cell]  6 O 2.23-2.24
Mg: 0.0000 0.5000 0.2236 [4 per cell]  1 O 2.00
Co: 0.5000 0.5000 0.0000 [1 per cell]  6 O 2.16-2.24
Bi: 0.5000 0.5000 0.5000 [1 per cell]  6 O 2.24-2.31
O: 0.0000 0.0000 0.2507 [2 per cell]  6 Mg 2.23-2.25
O: 0.0000 0.5000 0.0000 [2 per cell]  4 Mg 2.00-2.24, 2 Co 2.24
O: 0.0000 0.5000 0.5000 [2 per cell]  2 Bi 2.24, 4 Mg 2.24-2.47
O: 0.5000 0.5000 0.2415 [2 per cell]  1 Co 2.16, 4 Mg 2.24, 1 Bi 2.31

Values from the calculation:
**Formation energy from the elements**: -226.15 kJ/mol of atoms
**Total magnetization**: 2.00 μB per formula unit
**Distance to the lowest polymorph of the same formula**: 47 meV per atom

=====

[2]
Material: MgCoBi2O7
Method: DFT, PBE with a Hubbard U
State: relaxed

a = 7.1737 Å, b = 15.0181 Å, c = 11.5834 Å
α = 90.00°, β = 102.24°, γ = 90.00°
Last column: nearest neighbours and their distance in Å.
Space group P2_1/c (No. 14)
Unique sites:
Mg: 0.0513 0.0094 0.3644 [4 per cell]  5 O 2.07-2.27
Mg: 0.2073 0.6085 0.3878 [4 per cell]  4 O 1.93-2.03
Co: 0.0043 0.2494 0.2430 [4 per cell]  6 O 1.83-2.05
Co: 0.3445 0.1755 0.4118 [4 per cell]  6 O 1.87-2.02
Bi: 0.1254 0.6978 0.0154 [4 per cell]  5 O 2.13-2.36
Bi: 0.1263 0.0976 0.9659 [4 per cell]  4 O 2.22-2.29
Bi: 0.4141 0.5060 0.1634 [4 per cell]  5 O 2.12-2.19
Bi: 0.4782 0.2162 0.6919 [4 per cell]  5 O 2.12-2.24
O: 0.0036 0.1447 0.6531 [4 per cell]  1 Co 1.90
O: 0.0272 0.1828 0.1051 [4 per cell]  1 Co 1.92, 1 Mg 2.03
O: 0.0607 0.1530 0.3707 [4 per cell]  2 Co 2.02-2.05, 1 Mg 2.16, 1 Bi 2.17
O: 0.0823 0.6911 0.6405 [4 per cell]  1 Co 1.83
O: 0.1628 0.5440 0.5242 [4 per cell]  1 Mg 1.94
O: 0.1709 0.5425 0.0291 [4 per cell]  2 Mg 2.07-2.27, 1 Bi 2.15
O: 0.2014 0.5174 0.2691 [4 per cell]  2 Mg 1.93-2.12, 1 Bi 2.16
O: 0.2596 0.7309 0.3401 [4 per cell]  1 Co 1.95, 1 Mg 1.98, 1 Bi 2.15
O: 0.2623 0.2360 0.7997 [4 per cell]  2 Co 1.84-1.87
O: 0.3143 0.0664 0.3200 [4 per cell]  1 Co 1.94, 1 Bi 2.12
O: 0.3610 0.2254 0.0214 [4 per cell]  1 Co 1.94, 1 Bi 2.16
O: 0.4181 0.6849 0.1290 [4 per cell]  1 Co 1.87
O: 0.4382 0.1098 0.5527 [4 per cell]  1 Co 1.90
O: 0.4610 0.5947 0.7143 [4 per cell]  2 Bi 2.12-2.14

Values from the calculation:
**Formation energy from the elements**: -143.30 kJ/mol of atoms
**Total magnetization**: 0.00 μB per formula unit

=====

[3]
Material: MgCo2Bi2O8
Method: DFT, PBE with a Hubbard U
State: relaxed

a = 5.8051 Å, b = 6.4509 Å, c = 6.4615 Å
α = 60.11°, β = 65.83°, γ = 66.08°
Last column: nearest neighbours and their distance in Å.
Space group P-1 (No. 2)
Unique sites:
Mg: 0.0000 0.0000 0.0000 [1 per cell]  6 O 2.08-2.33
Co: 0.0000 0.5000 0.5000 [1 per cell]  6 O 2.06-2.18
Co: 0.5000 0.5000 0.5000 [1 per cell]  4 O 2.08
Bi: 0.0000 0.0000 0.5000 [1 per cell]  6 O 2.15-2.17
Bi: 0.0000 0.5000 0.0000 [1 per cell]  6 O 2.15-2.18
O: 0.2067 0.7897 0.7877 [2 per cell]  1 Mg 2.08, 2 Bi 2.17-2.18
O: 0.2169 0.2803 0.2781 [2 per cell]  2 Bi 2.17, 1 Co 2.18
O: 0.2169 0.3093 0.7563 [2 per cell]  2 Co 2.06-2.08, 1 Bi 2.15, 1 Mg 2.31
O: 0.2183 0.7560 0.3101 [2 per cell]  2 Co 2.06-2.08, 1 Bi 2.15

Values from the calculation:
**Formation energy from the elements**: -139.87 kJ/mol of atoms
**Total magnetization**: 6.00 μB per formula unit
**Distance to the lowest polymorph of the same formula**: 89 meV per atom

=====

[4]
Material: MgCoBiO5
Method: DFT, PBE with a Hubbard U
State: relaxed

a = 5.3102 Å, b = 15.3508 Å, c = 10.5642 Å
α = 90.00°, β = 90.00°, γ = 90.00°
Last column: nearest neighbours and their distance in Å.
Space group Pbca (No. 61)
Unique sites:
Mg: 0.0060 0.0477 0.1360 [8 per cell]  5 O 2.07-2.21
Co: 0.0179 0.5896 0.8991 [8 per cell]  4 O 1.73-1.83
Bi: 0.0263 0.2306 0.3538 [8 per cell]  5 O 2.15-2.35
O: 0.0971 0.6920 0.8237 [8 per cell]  1 Co 1.81
O: 0.1367 0.0146 0.6951 [8 per cell]  1 Co 1.73
O: 0.1888 0.0536 0.9556 [8 per cell]  1 Co 1.76
O: 0.1940 0.1259 0.4748 [8 per cell]  1 Co 1.83
O: 0.1981 0.1540 0.2076 [8 per cell]  1 Mg 2.07, 2 Bi 2.15-2.20

Values from the calculation:
**Formation energy from the elements**: -151.14 kJ/mol of atoms
**Total magnetization**: 4.00 μB per formula unit
**Distance to the lowest polymorph of the same formula**: 120 meV per atom

=====

[5]
Material: MgCo2Bi4O12
Method: DFT, PBE with a Hubbard U
State: relaxed

a = 10.3656 Å, b = 6.8333 Å, c = 7.5809 Å
α = 90.00°, β = 90.00°, γ = 90.00°
Last column: nearest neighbours and their distance in Å.
Space group Amm2 (No. 38)
Unique sites:
Mg: 0.0000 0.0000 0.0000 [2 per cell]  2 O 1.96
Co: 0.0000 0.0000 0.6511 [2 per cell]  4 O 1.85-1.90
Co: 0.5000 0.0000 0.2432 [2 per cell]  5 O 1.96-2.00
Bi: 0.1905 0.0000 0.2916 [4 per cell]  4 O 2.14-2.34
Bi: 0.3407 0.0000 0.7924 [4 per cell]  6 O 2.14-2.25
O: 0.0000 0.2352 0.2028 [4 per cell]  1 Co 1.85
O: 0.1782 0.0000 0.5951 [4 per cell]  1 Co 1.90
O: 0.1888 0.0000 0.9835 [4 per cell]  1 Mg 1.96, 1 Bi 2.14
O: 0.3554 0.1880 0.2892 [8 per cell]  1 Co 2.00, 2 Bi 2.14
O: 0.5000 0.0000 0.6099 [2 per cell]  2 Bi 2.15
O: 0.5000 0.0000 0.9841 [2 per cell]  1 Co 1.96

Values from the calculation:
**Formation energy from the elements**: -134.12 kJ/mol of atoms
**Total magnetization**: 5.98 μB per formula unit
**Distance to the lowest polymorph of the same formula**: 73 meV per atom

=====

[6]
Material: MgCo2Bi2O8
Method: DFT, PBE with a Hubbard U
State: relaxed

a = 6.0127 Å, b = 6.1051 Å, c = 6.5099 Å
α = 86.59°, β = 62.61°, γ = 60.52°
Last column: nearest neighbours and their distance in Å.
Space group P-1 (No. 2)
Unique sites:
Mg: 0.0000 0.0000 0.0000 [1 per cell]  6 O 2.08-2.15
Co: 0.0000 0.5000 0.0000 [1 per cell]  6 O 1.95-1.97
Co: 0.5000 0.5000 0.0000 [1 per cell]  6 O 1.95-1.97
Bi: 0.0000 0.5000 0.5000 [1 per cell]  6 O 2.34-2.48
Bi: 0.5000 0.0000 0.0000 [1 per cell]  6 O 2.15-2.16
O: 0.0273 0.2456 0.1986 [2 per cell]  1 Co 1.95, 1 Mg 2.15, 1 Bi 2.16
O: 0.0660 0.6958 0.1733 [2 per cell]  2 Co 1.97, 1 Mg 2.08
O: 0.4289 0.3175 0.8237 [2 per cell]  2 Co 1.95, 1 Bi 2.15
O: 0.4714 0.7540 0.8011 [2 per cell]  1 Co 1.95, 1 Mg 2.15, 1 Bi 2.16

Values from the calculation:
**Formation energy from the elements**: -148.50 kJ/mol of atoms
**Total magnetization**: 0.00 μB per formula unit
**Distance to the lowest polymorph of the same formula**: 0 meV per atom

=====

Energy? In order: -5.660 -5.547 -5.635 -5.600 -5.560 -5.724 eV/atom.